This record from Materials Project describes a relaxed structure of KCrP2S7. The functional is PBE.

Geometry as extended XYZ:
```
11
Lattice="4.886 4.316 0.000 -4.886 4.316 0.000 0.000 0.844 6.529" Properties=species:S:1:pos:R:3 pbc="T T T"
K 3.925 4.738 3.264
Cr -0.014 4.316 0.000
P 1.507 2.539 6.040
P 1.507 6.937 0.489
S -4.619 4.316 0.000
S -1.670 3.202 1.412
S 0.274 3.538 4.762
S 0.274 5.938 1.767
S 1.633 6.548 5.407
S 1.633 2.928 1.122
S -1.670 6.274 5.117
```

- corrected total energy (MP2020 scheme) (eV/atom) = -5.47
- calculated volume (Å³/f.u.) = 275.4
- VASP energy (eV/atom) = -5.146
- formation energy (eV/atom) = -0.871
- symmetry = No. 5
- largest piezoelectric modulus (C/m²) = 0.44